No. 1
The following is a PBE+U calculation of Li3V3P8O29 after structural relaxation, from the Materials Project.

## Properties
crystal system	triclinic
calculated total energy	-7.048	eV/atom
total moment	0.002	μB per cell

abc: 9.7354 9.7730 14.2363
angles: 90.52 90.13 119.78
Closest atoms and distances in Å follow each position.
Element x y z (fractional)
1 Li 0.9220 0.2230 0.9450  3 O 1.88-2.09
2 Li 0.7771 0.6839 0.9425  2 O 1.89-1.93
3 Li 0.0940 0.3284 0.5535  2 O 1.95-1.96
4 Li 0.9027 0.6695 0.4393  4 O 1.95-2.16
5 Li 0.6813 0.9111 0.0624  3 O 2.01-2.07
6 Li 0.9925 0.9977 0.4926  5 O 2.17-2.40
7 V 0.0014 0.4366 0.7519  6 O 1.84-1.94
8 V 0.0035 0.5690 0.2449  6 O 1.82-1.97
9 V 0.4338 0.4285 0.2494  6 O 1.86-1.96
10 V 0.5566 0.5631 0.7464  6 O 1.84-2.02
11 V 0.4344 0.0002 0.7456  6 O 1.86-1.92
12 V 0.5611 0.0050 0.2603  6 O 1.83-2.01
13 P 0.3097 0.0810 0.1565  4 O 1.46-1.63
14 P 0.3019 0.2204 0.6615  4 O 1.49-1.61
15 P 0.7810 0.0836 0.6583  4 O 1.48-1.64
16 P 0.6678 0.3337 0.8672  4 O 1.48-1.60
17 P 0.6726 0.3429 0.3689  4 O 1.48-1.60
18 P 0.9054 0.2256 0.1609  4 O 1.48-1.61
19 P 0.0889 0.3154 0.3396  4 O 1.49-1.61
20 P 0.7678 0.6812 0.1566  4 O 1.50-1.60
21 P 0.2297 0.3142 0.8475  4 O 1.46-1.62
22 P 0.9094 0.6836 0.6582  4 O 1.48-1.60
23 P 0.0913 0.7781 0.8375  4 O 1.48-1.63
24 P 0.3281 0.6637 0.6314  4 O 1.48-1.59
25 P 0.3409 0.6688 0.1328  4 O 1.48-1.60
26 P 0.2149 0.9168 0.3418  4 O 1.48-1.60
27 P 0.6925 0.7769 0.3386  4 O 1.49-1.63
28 P 0.6831 0.9136 0.8413  4 O 1.50-1.61
29 O 0.1898 0.9900 0.4266  1 P 1.48
30 O 0.3434 0.0867 0.6654  1 P 1.55
31 O 0.2367 0.2437 0.9361  1 P 1.46
32 O 0.3433 0.2543 0.1688  1 P 1.57
33 O 0.4700 0.0874 0.1833  1 P 1.58
34 O 0.5275 0.1850 0.8177  1 P 1.57
35 O 0.6174 0.0754 0.6679  1 P 1.56
36 O 0.7559 0.9982 0.9322  1 P 1.50
37 O 0.7371 0.0802 0.1660  1 P 1.55
38 O 0.5216 0.3334 0.3229  1 P 1.57
39 O 0.4613 0.3814 0.6715  1 P 1.57
40 O 0.6748 0.1922 0.3266  1 P 1.60
41 O 0.6785 0.3294 0.9708  1 P 1.48
42 O 0.6757 0.3482 0.4731  1 P 1.48
43 O 0.8204 0.3357 0.8235  1 P 1.60
44 O 0.6185 0.5214 0.1749  1 P 1.54
45 O 0.6640 0.4813 0.8290  1 P 1.56
46 O 0.9166 0.2603 0.6653  1 P 1.57
47 O 0.9969 0.2059 0.2497  2 P 1.61
48 O 0.0175 0.2332 0.4291  1 P 1.49
49 O 0.9856 0.2354 0.0708  1 P 1.48
50 O 0.8978 0.3793 0.1807  1 P 1.56
51 O 0.8194 0.4942 0.3283  1 P 1.58
52 O 0.0838 0.3416 0.8382  1 P 1.58
53 O 0.9107 0.5273 0.6757  1 P 1.56
54 O 0.7379 0.6505 0.6743  1 P 1.55
55 O 0.2066 0.2027 0.7567  2 P 1.61-1.62
56 O 0.2031 0.2111 0.5794  1 P 1.49
57 O 0.8043 0.7998 0.4169  1 P 1.49
58 O 0.2606 0.3472 0.3297  1 P 1.55
59 O 0.0867 0.4714 0.3253  1 P 1.55
60 O 0.9138 0.6577 0.1644  1 P 1.55
61 O 0.1832 0.5098 0.6736  1 P 1.59
62 O 0.0978 0.6221 0.8205  1 P 1.57
63 O 0.9949 0.7654 0.9203  1 P 1.48
64 O 0.9715 0.7553 0.5656  1 P 1.48
65 O 0.0105 0.8000 0.7425  2 P 1.60-1.63
66 O 0.0824 0.7395 0.3340  1 P 1.57
67 O 0.3456 0.5262 0.1798  1 P 1.57
68 O 0.3812 0.4742 0.8219  1 P 1.57
69 O 0.1855 0.6604 0.1769  1 P 1.60
70 O 0.3392 0.6632 0.0289  1 P 1.48
71 O 0.3235 0.6506 0.5277  1 P 1.48
72 O 0.3260 0.8106 0.6738  1 P 1.56
73 O 0.5411 0.6152 0.3314  1 P 1.54
74 O 0.4803 0.6691 0.6772  1 P 1.59
75 O 0.2618 0.9179 0.8324  1 P 1.54
76 O 0.1983 0.9938 0.2465  2 P 1.60-1.63
77 O 0.2391 0.0002 0.0675  1 P 1.46
78 O 0.3788 0.9217 0.3336  1 P 1.58
79 O 0.4850 0.8204 0.1753  1 P 1.56
80 O 0.5235 0.9058 0.8199  1 P 1.55
81 O 0.6600 0.7447 0.8390  1 P 1.55
82 O 0.7575 0.7544 0.0666  1 P 1.50
83 O 0.7871 0.7997 0.2404  2 P 1.60-1.63
84 O 0.6495 0.9103 0.3350  1 P 1.56
85 O 0.8076 0.0063 0.5762  1 P 1.48
86 O 0.7991 0.0081 0.7564  2 P 1.61-1.64

No. 2
The following is a PBE+U calculation of Li3V4NiO12 after structural relaxation, from the Materials Project.

## Properties
crystal system	monoclinic
calculated total energy	-6.695	eV/atom
total moment	1.000	μB per cell

abc: 5.8412 6.8615 6.8576
angles: 97.75 73.61 106.40
Closest atoms and distances in Å follow each position.
Element x y z (fractional)
1 Li 0.7500 0.0923 0.0922  5 O 2.07-2.32
2 Li 0.2500 0.2429 0.2430  2 O 1.97
3 Li 0.7500 0.7599 0.7598  2 O 1.98
4 V 0.2694 0.3894 0.8007  4 O 1.69-1.82
5 V 0.2307 0.8007 0.3894  4 O 1.69-1.82
6 V 0.7670 0.1986 0.6106  4 O 1.67-1.81
7 V 0.7329 0.6105 0.1986  4 O 1.67-1.81
8 Ni 0.2500 0.9110 0.9111  6 O 2.09-2.25
9 O 0.6452 0.0146 0.7840  1 V 1.71
10 O 0.8549 0.7839 0.0145  1 V 1.71
11 O 0.8215 0.0957 0.3718  1 V 1.67
12 O 0.6783 0.3718 0.0956  1 V 1.67
13 O 0.1606 0.2150 0.9826  1 V 1.71
14 O 0.3393 0.9825 0.2149  1 V 1.71
15 O 0.5649 0.3632 0.6410  2 V 1.81
16 O 0.9350 0.6410 0.3633  2 V 1.81
17 O 0.0614 0.3545 0.6378  2 V 1.80-1.82
18 O 0.4386 0.6379 0.3545  2 V 1.80-1.82
19 O 0.3281 0.6309 0.9037  1 V 1.69
20 O 0.1720 0.9036 0.6309  1 V 1.69

No. 3
The following is a PBE+U calculation of Li2CoSiO4 after structural relaxation, from the Materials Project.

## Properties
crystal system	orthorhombic
calculated total energy	-6.478	eV/atom
total moment	12.000	μB per cell

abc: 5.0884 6.3114 10.7789
angles: 90.00 90.00 90.00
Closest atoms and distances in Å follow each position.
Element x y z (fractional)
1 Li 0.7965 0.8708 0.5745  4 O 1.94-2.05
2 Li 0.1910 0.1205 0.6621  4 O 1.96-2.02
3 Li 0.6910 0.6205 0.8379  4 O 1.96-2.02
4 Li 0.2965 0.3708 0.9255  4 O 1.94-2.05
5 Li 0.7035 0.8708 0.0745  4 O 1.94-2.05
6 Li 0.3090 0.1205 0.1621  4 O 1.96-2.02
7 Li 0.8090 0.6205 0.3379  4 O 1.96-2.02
8 Li 0.2035 0.3708 0.4255  4 O 1.94-2.05
9 Co 0.6896 0.1176 0.8343  4 O 1.97-2.03
10 Co 0.8104 0.1176 0.3343  4 O 1.97-2.03
11 Co 0.1896 0.6176 0.6657  4 O 1.97-2.03
12 Co 0.3104 0.6176 0.1657  4 O 1.97-2.03
13 Si 0.6893 0.3690 0.5877  4 O 1.65-1.66
14 Si 0.1893 0.8690 0.9123  4 O 1.65-1.66
15 Si 0.8107 0.3690 0.0877  4 O 1.65-1.66
16 Si 0.3107 0.8690 0.4123  4 O 1.65-1.66
17 O 0.1980 0.8693 0.5558  1 Si 1.65
18 O 0.3637 0.3682 0.5892  1 Si 1.66
19 O 0.7927 0.5842 0.6610  1 Si 1.66
20 O 0.7972 0.1537 0.6595  1 Si 1.66
21 O 0.2972 0.6537 0.8405  1 Si 1.66
22 O 0.2927 0.0842 0.8390  1 Si 1.66
23 O 0.8637 0.8682 0.9108  1 Si 1.66
24 O 0.6980 0.3693 0.9442  1 Si 1.65
25 O 0.3020 0.8693 0.0558  1 Si 1.65
26 O 0.1363 0.3682 0.0892  1 Si 1.66
27 O 0.7073 0.5842 0.1610  1 Si 1.66
28 O 0.7028 0.1537 0.1595  1 Si 1.66
29 O 0.2028 0.6537 0.3405  1 Si 1.66
30 O 0.2073 0.0842 0.3390  1 Si 1.66
31 O 0.6363 0.8682 0.4108  1 Si 1.66
32 O 0.8020 0.3693 0.4442  1 Si 1.65

No. 4
The following is a PBE+U calculation of NaVWO6 after structural relaxation, from the Materials Project.

## Properties
crystal system	monoclinic
calculated total energy	-7.010	eV/atom
total moment	0.000	μB per cell

abc: 3.7651 5.1709 7.3560
angles: 111.75 90.00 68.65
Closest atoms and distances in Å follow each position.
Element x y z (fractional)
1 Na 0.9979 0.0042 0.0052  6 O 2.39-2.47
2 V 0.1822 0.6356 0.3657  2 O 1.65-1.72
3 W 0.8210 0.3580 0.6216  4 O 1.77-1.96
4 O 0.3216 0.3567 0.1443  1 V 1.65
5 O 0.6694 0.6613 0.8586  1 W 1.77
6 O 0.6982 0.6036 0.4367  2 V 1.98, 1 W 2.13
7 O 0.3092 0.3817 0.5563  2 W 1.96
8 O 0.0197 0.9606 0.3216  1 V 1.72
9 O 0.9809 0.0383 0.6900  1 W 1.80

No. 5
The following is a PBE+U calculation of Li6MnFe2O6 after structural relaxation, from the Materials Project.

## Properties
crystal system	triclinic
calculated total energy	-5.686	eV/atom
total moment	0.003	μB per cell

abc: 3.2278 14.7990 6.1592
angles: 82.97 105.33 94.87
Closest atoms and distances in Å follow each position.
Element x y z (fractional)
1 Li 0.9900 0.3000 0.6863  4 O 1.95-2.04
2 Li 0.9941 0.8025 0.1866  4 O 1.94-2.04
3 Li 0.6378 0.3125 0.9614  4 O 1.95-2.06
4 Li 0.6351 0.8107 0.4626  4 O 1.94-2.04
5 Li 0.9665 0.1426 0.7959  4 O 1.93-2.07
6 Li 0.9787 0.6457 0.2964  4 O 1.93-2.07
7 Li 0.6632 0.4699 0.8521  4 O 1.93-2.06
8 Li 0.6542 0.9677 0.3512  4 O 1.93-2.07
9 Li 0.3321 0.1345 0.5160  4 O 1.95-2.06
10 Li 0.3318 0.6335 0.0173  4 O 1.91-2.11
11 Li 0.3007 0.4787 0.1311  4 O 1.95-2.05
12 Li 0.2976 0.9800 0.6298  4 O 1.92-2.09
13 Mn 0.3149 0.8073 0.8245  6 O 2.23-2.31
14 Mn 0.3136 0.3067 0.3233  6 O 2.24-2.31
15 Fe 0.9866 0.4727 0.4951  6 O 2.17-2.33
16 Fe 0.6501 0.6390 0.6581  6 O 2.17-2.32
17 Fe 0.9798 0.9734 0.9897  6 O 2.18-2.32
18 Fe 0.6467 0.1397 0.1523  6 O 2.19-2.33
19 O 0.4891 0.3781 0.6375  4 Li 1.96-2.06, 1 Fe 2.17
20 O 0.5030 0.8760 0.1417  4 Li 1.93-2.04
21 O 0.1374 0.2352 0.0069  4 Li 1.95-2.04
22 O 0.1268 0.7372 0.5073  4 Li 1.93-2.04
23 O 0.8407 0.2086 0.4708  4 Li 1.95-2.07
24 O 0.8375 0.7074 0.9679  4 Li 1.95-2.07
25 O 0.7912 0.4039 0.1752  4 Li 1.95-2.06
26 O 0.7912 0.9060 0.6799  4 Li 1.95-2.07
27 O 0.1533 0.0428 0.2974  4 Li 1.96-2.09, 1 Fe 2.19
28 O 0.1734 0.5432 0.8085  4 Li 1.91-2.05
29 O 0.4563 0.0699 0.8408  4 Li 1.92-2.06
30 O 0.4826 0.5699 0.3532  4 Li 1.96-2.11, 2 Fe 2.17-2.19

No. 6
The following is a PBE+U calculation of Li7Mn11O24 after structural relaxation, from the Materials Project.

## Properties
crystal system	triclinic
calculated total energy	-6.699	eV/atom
total moment	35.999	μB per cell

abc: 5.7521 17.3038 10.0228
angles: 30.40 54.99 60.08
Closest atoms and distances in Å follow each position.
Element x y z (fractional)
1 Li 0.1361 0.0280 0.0696  3 O 1.78-1.96
2 Li 0.1257 0.3382 0.1168  4 O 1.96-2.00
3 Li 0.1290 0.6710 0.1164  4 O 1.93-1.97
4 Li 0.8724 0.9945 0.8843  4 O 1.93-1.98
5 Li 0.8755 0.3304 0.8795  4 O 1.96-1.99
6 Li 0.8554 0.6385 0.9323  3 O 1.79-1.98
7 Li 0.0046 0.8322 0.5014  2 Li 2.07, 6 O 2.10-2.19
8 Mn 0.5011 0.1557 0.0145  6 O 1.88-2.01
9 Mn 0.4983 0.9965 0.5001  6 O 1.85-2.00
10 Mn 0.9999 0.3322 0.5012  6 O 1.91-1.96
11 Mn 0.5029 0.1667 0.4967  6 O 1.90-1.95
12 Mn 0.4976 0.5099 0.9871  6 O 1.89-2.01
13 Mn 0.0101 0.9963 0.5006  6 O 1.85-1.99
14 Mn 0.4989 0.3328 0.5012  6 O 1.91-1.96
15 Mn 0.9908 0.6694 0.5009  6 O 1.85-2.00
16 Mn 0.4978 0.4987 0.5050  6 O 1.90-1.95
17 Mn 0.5010 0.8328 0.0005  6 O 1.94-2.01
18 Mn 0.5037 0.6695 0.5001  6 O 1.84-2.00
19 O 0.2379 0.0132 0.2476  2 Mn 1.88-1.89, 1 Li 1.96
20 O 0.2638 0.1478 0.2637  3 Mn 1.93-1.95, 1 Li 2.00
21 O 0.7238 0.0123 0.2493  2 Mn 1.87-1.88, 1 Li 1.96
22 O 0.2639 0.3332 0.2632  3 Mn 1.94-2.01, 1 Li 1.96
23 O 0.7327 0.1480 0.2945  3 Mn 1.90-1.99, 1 Li 1.99
24 O 0.2682 0.1895 0.6973  1 Li 1.78, 3 Mn 1.91-1.93
25 O 0.2620 0.4843 0.2607  3 Mn 1.95-1.96, 1 Li 1.96
26 O 0.7091 0.3334 0.2634  3 Mn 1.95-2.01, 1 Li 1.96
27 O 0.2908 0.3326 0.7377  3 Mn 1.94-2.01, 1 Li 1.96
28 O 0.2671 0.6654 0.2650  3 Mn 1.94-2.00, 1 Li 1.97
29 O 0.7312 0.4754 0.3054  1 Li 1.79, 3 Mn 1.91-1.93
30 O 0.7366 0.1809 0.7414  3 Mn 1.95-1.96, 1 Li 1.97
31 O 0.2685 0.5182 0.7062  3 Mn 1.90-1.99, 1 Li 1.97
32 O 0.2569 0.8186 0.2664  3 Mn 1.97-2.01, 2 Li 2.06-2.10
33 O 0.7368 0.3314 0.7392  3 Mn 1.95-2.01, 1 Li 1.96
34 O 0.7100 0.6656 0.2640  3 Mn 1.94-2.00, 1 Li 1.97
35 O 0.2729 0.6522 0.7540  2 Mn 1.88-1.89, 1 Li 1.98
36 O 0.7561 0.8062 0.2854  2 Mn 1.84-1.85, 1 Li 1.93
37 O 0.2441 0.8600 0.7154  2 Mn 1.85, 1 Li 1.93
38 O 0.7367 0.5181 0.7375  3 Mn 1.93-1.95, 1 Li 1.99
39 O 0.7597 0.6529 0.7536  2 Mn 1.88-1.89, 1 Li 1.95
40 O 0.2920 0.9997 0.7376  3 Mn 1.94-2.00, 1 Li 1.98
41 O 0.7439 0.8471 0.7346  3 Mn 1.97-2.01, 2 Li 2.04-2.10
42 O 0.7339 0.9998 0.7370  3 Mn 1.94-1.99, 1 Li 1.97

No. 7
The following is a PBE+U calculation of SrCrO3 after structural relaxation, from the Materials Project.

## Properties
crystal system	hexagonal
calculated total energy	-6.974	eV/atom
total moment	8.000	μB per cell

abc: 5.5123 5.5123 9.1573
angles: 90.00 90.00 120.00
Closest atoms and distances in Å follow each position.
Element x y z (fractional)
1 Sr 0.6667 0.3333 0.2500  12 O 2.76-2.79
2 Sr 0.0000 0.0000 0.0000  12 O 2.76-2.87
3 Sr 0.0000 0.0000 0.5000  12 O 2.76-2.87
4 Sr 0.3333 0.6667 0.7500  12 O 2.76-2.79
5 Cr 0.6667 0.3333 0.6148  6 O 1.91
6 Cr 0.6667 0.3333 0.8852  6 O 1.91
7 Cr 0.3333 0.6667 0.1148  6 O 1.91
8 Cr 0.3333 0.6667 0.3852  6 O 1.91
9 O 0.5000 0.0000 0.0000  2 Cr 1.91
10 O 0.5000 0.0000 0.5000  2 Cr 1.91
11 O 0.3614 0.1807 0.7500  2 Cr 1.91
12 O 0.8193 0.1807 0.7500  2 Cr 1.91
13 O 0.8193 0.6386 0.7500  2 Cr 1.91
14 O 0.0000 0.5000 0.0000  2 Cr 1.91
15 O 0.0000 0.5000 0.5000  2 Cr 1.91
16 O 0.1807 0.3614 0.2500  2 Cr 1.91
17 O 0.5000 0.5000 0.0000  2 Cr 1.91
18 O 0.5000 0.5000 0.5000  2 Cr 1.91
19 O 0.1807 0.8193 0.2500  2 Cr 1.91
20 O 0.6386 0.8193 0.2500  2 Cr 1.91

No. 8
The following is a PBE+U calculation of BaNd2Mo4O16 after structural relaxation, from the Materials Project.

## Properties
crystal system	monoclinic
calculated total energy	-7.411	eV/atom
total moment	0.001	μB per cell

abc: 7.0313 7.0313 19.7208
angles: 89.49 89.49 134.47
Closest atoms and distances in Å follow each position.
Element x y z (fractional)
1 Ba 0.0319 0.9681 0.2500  8 O 2.73-3.02
2 Ba 0.9681 0.0319 0.7500  8 O 2.73-3.02
3 Nd 0.8498 0.1458 0.9664  8 O 2.41-2.55
4 Nd 0.1458 0.8498 0.4664  8 O 2.41-2.55
5 Nd 0.8542 0.1502 0.5336  8 O 2.41-2.55
6 Nd 0.1502 0.8542 0.0336  8 O 2.41-2.55
7 Mo 0.4518 0.5669 0.4080  4 O 1.74-1.86
8 Mo 0.7439 0.2646 0.1511  4 O 1.76-1.87
9 Mo 0.5669 0.4518 0.9080  4 O 1.74-1.86
10 Mo 0.2561 0.7354 0.8489  4 O 1.76-1.87
11 Mo 0.4331 0.5482 0.0920  4 O 1.74-1.86
12 Mo 0.5482 0.4331 0.5920  4 O 1.74-1.86
13 Mo 0.7354 0.2561 0.3489  4 O 1.76-1.87
14 Mo 0.2646 0.7439 0.6511  4 O 1.76-1.87
15 O 0.1837 0.5226 0.0472  1 Mo 1.86
16 O 0.9137 0.3988 0.4311  1 Mo 1.87
17 O 0.2624 0.9829 0.6757  1 Mo 1.76
18 O 0.4636 0.2998 0.8295  1 Mo 1.74
19 O 0.7679 0.7347 0.5363  1 Mo 1.85
20 O 0.3142 0.2253 0.1042  1 Mo 1.80
21 O 0.6858 0.7747 0.8958  1 Mo 1.80
22 O 0.7376 0.0171 0.3243  1 Mo 1.76
23 O 0.5226 0.1837 0.5472  1 Mo 1.86
24 O 0.9047 0.5146 0.2876  1 Mo 1.76
25 O 0.5146 0.9047 0.7876  1 Mo 1.76
26 O 0.5364 0.7002 0.1705  1 Mo 1.74
27 O 0.2321 0.2653 0.4637  1 Mo 1.85
28 O 0.3988 0.9137 0.9311  1 Mo 1.87
29 O 0.0863 0.6012 0.5689  1 Mo 1.87
30 O 0.0936 0.3908 0.8632  1 Mo 1.83
31 O 0.8163 0.4774 0.9528  1 Mo 1.86
32 O 0.7002 0.5364 0.6705  1 Mo 1.74
33 O 0.2253 0.3142 0.6042  1 Mo 1.80
34 O 0.9829 0.2624 0.1757  1 Mo 1.76
35 O 0.2653 0.2321 0.9637  1 Mo 1.85
36 O 0.2998 0.4636 0.3295  1 Mo 1.74
37 O 0.7347 0.7679 0.0363  1 Mo 1.85
38 O 0.4854 0.0953 0.2124  1 Mo 1.76
39 O 0.6012 0.0863 0.0689  1 Mo 1.87
40 O 0.0953 0.4854 0.7124  1 Mo 1.76
41 O 0.4774 0.8163 0.4528  1 Mo 1.86
42 O 0.9064 0.6092 0.1368  1 Mo 1.83
43 O 0.3908 0.0936 0.3632  1 Mo 1.83
44 O 0.7747 0.6858 0.3958  1 Mo 1.80
45 O 0.6092 0.9064 0.6368  1 Mo 1.83
46 O 0.0171 0.7376 0.8243  1 Mo 1.76